Record 1
The following is a DFT calculation (GGA+U) of a geometry-optimized NaV6O13 structure.

Output
spin magnetization: 0.250 μB/atom
crystal system: triclinic
relative energy among the computed polymorphs: 0.0187 eV/atom

Cell and atoms, written as CIF:
```
data_NaV6O13
_cell_length_a 3.729
_cell_length_b 11.322
_cell_length_c 11.910
_cell_angle_alpha 110.96
_cell_angle_beta 90.01
_cell_angle_gamma 99.47
_symmetry_space_group_name_H-M 'P 1'
_symmetry_Int_Tables_number 1
loop_
_symmetry_equiv_pos_as_xyz
'x,y,z'
loop_
_atom_site_label
_atom_site_fract_x
_atom_site_fract_y
_atom_site_fract_z
Na1 0.000 0.000 0.000
Na2 0.347 0.697 0.437
V1 0.100 0.205 0.434
V2 0.114 0.241 0.752
V3 0.225 0.458 0.684
V4 0.241 0.494 0.002
V5 0.402 0.801 0.796
V6 0.421 0.841 0.111
V7 0.599 0.205 0.234
V8 0.607 0.225 0.946
V9 0.734 0.474 0.491
V10 0.741 0.494 0.202
V11 0.930 0.858 0.324
V12 0.947 0.897 0.639
O1 0.021 0.044 0.389
O2 0.027 0.059 0.692
O3 0.108 0.225 0.275
O4 0.127 0.260 0.606
O5 0.128 0.266 0.934
O6 0.213 0.433 0.502
O7 0.215 0.438 0.831
O8 0.230 0.474 0.161
O9 0.319 0.639 0.743
O10 0.324 0.656 0.047
O11 0.422 0.840 0.956
O12 0.426 0.851 0.288
O13 0.428 0.855 0.652
O14 0.518 0.043 0.162
O15 0.532 0.068 0.905
O16 0.616 0.243 0.786
O17 0.617 0.242 0.415
O18 0.627 0.266 0.112
O19 0.711 0.435 0.325
O20 0.722 0.456 0.021
O21 0.724 0.456 0.651
O22 0.812 0.632 0.533
O23 0.823 0.657 0.273
O24 0.924 0.845 0.784
O25 0.925 0.849 0.147
O26 0.929 0.858 0.478
```

Record 2
The following is a DFT calculation (GGA+U) of a geometry-optimized NaV5O8 structure.

Output
spin magnetization: 0.714 μB/atom
crystal system: triclinic
relative energy among the computed polymorphs: 0.0399 eV/atom

Cell and atoms, written as CIF:
```
data_NaV5O8
_cell_length_a 3.001
_cell_length_b 5.532
_cell_length_c 10.615
_cell_angle_alpha 102.50
_cell_angle_beta 91.04
_cell_angle_gamma 105.22
_symmetry_space_group_name_H-M 'P 1'
_symmetry_Int_Tables_number 1
loop_
_symmetry_equiv_pos_as_xyz
'x,y,z'
loop_
_atom_site_label
_atom_site_fract_x
_atom_site_fract_y
_atom_site_fract_z
Na1 0.000 0.000 0.000
V1 0.226 0.470 0.369
V2 0.243 0.475 0.873
V3 0.747 0.528 0.128
V4 0.760 0.529 0.633
V5 0.995 0.000 0.500
O1 0.138 0.324 0.184
O2 0.152 0.305 0.670
O3 0.363 0.711 0.064
O4 0.370 0.741 0.550
O5 0.618 0.260 0.448
O6 0.655 0.299 0.948
O7 0.832 0.692 0.327
O8 0.842 0.679 0.816
```

Record 3
The following is a DFT calculation (GGA+U) of a geometry-optimized NaV6O15 structure.

Output
spin magnetization: 0.046 μB/atom
crystal system: triclinic
relative energy among the computed polymorphs: 0.0427 eV/atom

Cell and atoms, written as CIF:
```
data_NaV6O15
_cell_length_a 5.768
_cell_length_b 8.132
_cell_length_c 9.007
_cell_angle_alpha 91.76
_cell_angle_beta 93.56
_cell_angle_gamma 98.58
_symmetry_space_group_name_H-M 'P 1'
_symmetry_Int_Tables_number 1
loop_
_symmetry_equiv_pos_as_xyz
'x,y,z'
loop_
_atom_site_label
_atom_site_fract_x
_atom_site_fract_y
_atom_site_fract_z
Na1 0.000 0.000 0.000
V1 0.068 0.176 0.414
V2 0.210 0.572 0.047
V3 0.434 0.701 0.401
V4 0.601 0.253 0.581
V5 0.658 0.368 0.950
V6 0.976 0.781 0.580
O1 0.025 0.987 0.508
O2 0.090 0.142 0.236
O3 0.227 0.685 0.549
O4 0.310 0.758 0.993
O5 0.316 0.569 0.250
O6 0.328 0.303 0.498
O7 0.367 0.399 0.978
O8 0.462 0.888 0.341
O9 0.557 0.060 0.626
O10 0.691 0.373 0.747
O11 0.706 0.184 0.004
O12 0.723 0.665 0.481
O13 0.822 0.279 0.446
O14 0.880 0.524 0.030
O15 0.941 0.799 0.758
```

Record 4
The following is a DFT calculation (GGA+U) of a geometry-optimized NaV2O4 structure.

Output
spin magnetization: 0.429 μB/atom
crystal system: triclinic
relative energy among the computed polymorphs: 0.0000 eV/atom

Cell and atoms, written as CIF:
```
data_NaV2O4
_cell_length_a 3.004
_cell_length_b 9.246
_cell_length_c 10.751
_cell_angle_alpha 90.08
_cell_angle_beta 90.02
_cell_angle_gamma 90.04
_symmetry_space_group_name_H-M 'P 1'
_symmetry_Int_Tables_number 1
loop_
_symmetry_equiv_pos_as_xyz
'x,y,z'
loop_
_atom_site_label
_atom_site_fract_x
_atom_site_fract_y
_atom_site_fract_z
Na1 0.000 0.000 0.000
Na2 0.000 0.498 0.195
Na3 0.500 0.009 0.500
Na4 0.500 0.510 0.695
V1 0.000 0.321 0.959
V2 0.000 0.336 0.451
V3 0.000 0.831 0.741
V4 0.001 0.819 0.238
V5 0.497 0.189 0.734
V6 0.500 0.177 0.242
V7 0.500 0.674 0.951
V8 0.500 0.684 0.458
O1 0.000 0.147 0.371
O2 0.000 0.236 0.127
O3 0.000 0.537 0.496
O4 0.000 0.636 0.832
O5 0.000 0.732 0.064
O6 0.000 0.833 0.410
O7 0.003 0.050 0.695
O8 0.500 0.180 0.916
O9 0.500 0.278 0.561
O10 0.500 0.372 0.331
O11 0.500 0.470 0.995
O12 0.500 0.680 0.269
O13 0.500 0.773 0.625
O14 0.500 0.861 0.872
O15 0.500 0.954 0.195
O16 0.998 0.329 0.771
```

Record 5
The following is a DFT calculation (GGA+U) of a geometry-optimized NaV4O10 structure.

Output
spin magnetization: 0.067 μB/atom
crystal system: triclinic
relative energy among the computed polymorphs: 0.0000 eV/atom

Cell and atoms, written as CIF:
```
data_NaV4O10
_cell_length_a 8.355
_cell_length_b 10.635
_cell_length_c 14.582
_cell_angle_alpha 89.99
_cell_angle_beta 77.46
_cell_angle_gamma 74.18
_symmetry_space_group_name_H-M 'P -1'
_symmetry_Int_Tables_number 2
loop_
_symmetry_equiv_pos_as_xyz
'x,y,z'
'-x,-y,-z'
loop_
_atom_site_label
_atom_site_fract_x
_atom_site_fract_y
_atom_site_fract_z
Na1 0.100 0.162 0.494
Na2 0.103 0.162 0.977
Na3 0.110 0.167 0.236
V1 0.207 0.411 0.848
V2 0.213 0.409 0.349
V3 0.233 0.396 0.598
V4 0.246 0.389 0.093
V5 0.330 0.609 0.208
V6 0.346 0.610 0.706
V7 0.347 0.603 0.955
V8 0.351 0.604 0.457
V9 0.432 0.910 0.697
V10 0.437 0.905 0.445
V11 0.439 0.904 0.945
V12 0.440 0.899 0.195
O1 0.005 0.496 0.621
O2 0.005 0.500 0.124
O3 0.144 0.712 0.230
O4 0.156 0.711 0.726
O5 0.161 0.710 0.979
O6 0.162 0.708 0.486
O7 0.202 0.255 0.353
O8 0.211 0.255 0.847
O9 0.212 0.248 0.601
O10 0.216 0.239 0.095
O11 0.225 0.959 0.722
O12 0.228 0.949 0.471
O13 0.229 0.948 0.974
O14 0.233 0.953 0.220
O15 0.258 0.436 0.222
O16 0.262 0.439 0.715
O17 0.266 0.435 0.469
O18 0.269 0.437 0.962
O19 0.366 0.549 0.330
O20 0.372 0.551 0.825
O21 0.373 0.549 0.080
O22 0.385 0.548 0.578
O23 0.467 0.720 0.193
O24 0.476 0.724 0.690
O25 0.490 0.707 0.938
O26 0.491 0.080 0.934
O27 0.491 0.708 0.438
O28 0.494 0.081 0.192
O29 0.494 0.083 0.692
O30 0.497 0.077 0.434
```

Record 6
The following is a DFT calculation (GGA+U) of a geometry-optimized NaV3O8 structure.

Output
crystal system: monoclinic

Cell and atoms, written as CIF:
```
data_NaV3O8
_cell_length_a 7.331
_cell_length_b 3.622
_cell_length_c 12.280
_cell_angle_alpha 90.00
_cell_angle_beta 106.61
_cell_angle_gamma 90.00
_symmetry_space_group_name_H-M 'P 1 21/m 1'
_symmetry_Int_Tables_number 11
loop_
_symmetry_equiv_pos_as_xyz
'x,y,z'
'-x,-y,-z'
'-x,y+1/2,-z'
'x,-y+1/2,z'
loop_
_atom_site_label
_atom_site_fract_x
_atom_site_fract_y
_atom_site_fract_z
Na1 0.184 0.250 0.183
V1 0.119 0.750 0.421
V2 0.258 0.750 0.691
V3 0.316 0.750 0.960
O1 0.047 0.250 0.428
O2 0.147 0.750 0.826
O3 0.174 0.250 0.673
O4 0.193 0.750 0.053
O5 0.222 0.750 0.319
O6 0.307 0.750 0.550
O7 0.399 0.250 0.961
O8 0.477 0.750 0.773
```

no.,total DFT energy (no corrections) (eV/atom)
1,-7.440
2,-7.543
3,-7.258
4,-7.165
5,-7.229
6,-7.139